No. 1
# LiCu6OF11, relaxed, DFT PBE
data_LiCu6OF11
_cell_length_a 4.653
_cell_length_b 5.453
_cell_length_c 9.064
_cell_angle_alpha 88.50
_cell_angle_beta 86.71
_cell_angle_gamma 87.66
_space_group_name_H-M_alt 'P 1'
_space_group_IT_number 1
loop_
_space_group_symop_operation_xyz
'x,y,z'
loop_
_atom_site_label
_atom_site_type_symbol
_atom_site_fract_x
_atom_site_fract_y
_atom_site_fract_z
Li1 Li 0.000 0.000 0.000
Cu1 Cu 0.273 0.318 0.842
Cu2 Cu 0.299 0.955 0.232
Cu3 Cu 0.304 0.635 0.505
Cu4 Cu 0.706 0.781 0.820
Cu5 Cu 0.774 0.478 0.224
Cu6 Cu 0.778 0.145 0.532
O1 O 0.497 0.686 0.312
F1 F 0.000 0.747 0.141
F2 F 0.066 0.605 0.755
F3 F 0.066 0.927 0.456
F4 F 0.067 0.237 0.138
F5 F 0.434 0.009 0.935
F6 F 0.490 0.360 0.616
F7 F 0.553 0.508 0.934
F8 F 0.567 0.869 0.611
F9 F 0.569 0.191 0.289
F10 F 0.955 0.101 0.801
F11 F 0.991 0.413 0.452
# E_tot ... -4.228 eV/atom
# Distance to the lowest polymorph of the same formula ... 35 meV per atom
# Magnetization ... 1.99 μB per formula unit
# Corrected total energy (MP2020 scheme) ... -86.1 eV/cell



No. 2
# CaB2H2, relaxed, DFT PBE
data_CaB2H2
_cell_length_a 3.4767
_cell_length_b 3.4767
_cell_length_c 3.9793
_cell_angle_alpha 90.00
_cell_angle_beta 90.00
_cell_angle_gamma 120.00
_space_group_name_H-M_alt 'P -3 m 1'
_space_group_IT_number 164
_space_group_name_Hall '-P 3 2"'
loop_
_atom_site_label
_atom_site_type_symbol
_atom_site_fract_x
_atom_site_fract_y
_atom_site_fract_z
Ca1 Ca 0.0000 0.0000 0.0000
B1 B 0.3333 0.6667 0.4628
H1 H 0.3333 0.6667 0.1512
# E_tot ... -4.616 eV/atom
# Distance to the lowest polymorph of the same formula ... 59 meV per atom
# Magnetization ... 0.00 μB per formula unit
# Corrected total energy (MP2020 scheme) ... -23.4 eV/cell



No. 3
# KMg14V, relaxed, DFT PBE
data_KMg14V
_cell_length_a 6.5112
_cell_length_b 6.5112
_cell_length_c 10.3874
_cell_angle_alpha 90.00
_cell_angle_beta 90.00
_cell_angle_gamma 120.00
_space_group_name_H-M_alt 'P -6 m 2'
_space_group_IT_number 187
_space_group_name_Hall 'P -6 2'
loop_
_atom_site_label
_atom_site_type_symbol
_atom_site_fract_x
_atom_site_fract_y
_atom_site_fract_z
K1 K 0.0000 0.0000 0.0000
Mg1 Mg 0.0081 0.5041 0.0000
Mg2 Mg 0.1672 0.3344 0.2675
Mg3 Mg 0.5014 0.0027 0.5000
Mg4 Mg 0.6667 0.3333 0.2446
V1 V 0.0000 0.0000 0.5000
# E_tot ... -1.850 eV/atom
# Distance to the lowest polymorph of the same formula ... 0 meV per atom
# Magnetization ... 2.92 μB per formula unit



No. 4
# NaTeF5, relaxed, DFT PBE
data_NaTeF5
_cell_length_a 10.395
_cell_length_b 6.041
_cell_length_c 7.405
_cell_angle_alpha 90.00
_cell_angle_beta 90.00
_cell_angle_gamma 90.00
_space_group_name_H-M_alt 'P n m a'
_space_group_IT_number 62
loop_
_space_group_symop_operation_xyz
'x,y,z'
'-x,-y,-z'
'-x+1/2,-y,z+1/2'
'x+1/2,y,-z+1/2'
'x+1/2,-y+1/2,-z+1/2'
'-x+1/2,y+1/2,z+1/2'
'-x,y+1/2,-z'
'x,-y+1/2,z'
loop_
_atom_site_label
_atom_site_type_symbol
_atom_site_fract_x
_atom_site_fract_y
_atom_site_fract_z
Na1 Na 0.005 0.250 0.184
Te1 Te 0.235 0.250 0.651
F1 F 0.099 0.019 0.652
F2 F 0.136 0.525 0.057
F3 F 0.192 0.250 0.398
# E_tot ... -4.356 eV/atom
# Corrected total energy (MP2020 scheme) ... -131.2 eV/cell



No. 5
# SbClO, relaxed, DFT PBE
data_SbClO
_cell_length_a 3.791
_cell_length_b 3.791
_cell_length_c 7.917
_cell_angle_alpha 90.00
_cell_angle_beta 90.00
_cell_angle_gamma 90.00
_space_group_name_H-M_alt 'P 4/n m m'
_space_group_IT_number 129
loop_
_space_group_symop_operation_xyz
'x,y,z'
'-x,-y,-z'
'-y+1/2,x,z'
'y+1/2,-x,-z'
'-x+1/2,-y+1/2,z'
'x+1/2,y+1/2,-z'
'y,-x+1/2,z'
'-y,x+1/2,-z'
'x+1/2,-y,-z'
'-x+1/2,y,z'
'-y,-x,-z'
'y,x,z'
'-x,y+1/2,-z'
'x,-y+1/2,z'
'y+1/2,x+1/2,-z'
'-y+1/2,-x+1/2,z'
loop_
_atom_site_label
_atom_site_type_symbol
_atom_site_fract_x
_atom_site_fract_y
_atom_site_fract_z
Sb1 Sb 0.250 0.250 0.157
Cl1 Cl 0.250 0.250 0.669
O1 O 0.250 0.750 0.000
# E_tot ... -4.769 eV/atom
# Distance to the lowest polymorph of the same formula ... 45 meV per atom
# Magnetization ... 0.00 μB per formula unit
# Corrected total energy (MP2020 scheme) ... -30.0 eV/cell



No. 6
# Ti2ReRh, relaxed, DFT PBE
data_Ti2ReRh
_cell_length_a 6.224
_cell_length_b 6.224
_cell_length_c 6.224
_cell_angle_alpha 90.00
_cell_angle_beta 90.00
_cell_angle_gamma 90.00
_space_group_name_H-M_alt 'F m -3 m'
_space_group_IT_number 225
_space_group_name_Hall '-F 4 2 3'
loop_
_atom_site_label
_atom_site_type_symbol
_atom_site_fract_x
_atom_site_fract_y
_atom_site_fract_z
Ti1 Ti 0.250 0.250 0.250
Re1 Re 0.000 0.000 0.000
Rh1 Rh 0.000 0.000 0.500
# E_tot ... -9.557 eV/atom



No. 7
# Ce5P12Ru19, relaxed, DFT PBE
data_Ce5P12Ru19
_cell_length_a 12.6360
_cell_length_b 12.6360
_cell_length_c 3.9824
_cell_angle_alpha 90.00
_cell_angle_beta 90.00
_cell_angle_gamma 120.00
_space_group_name_H-M_alt 'P -6 2 m'
_space_group_IT_number 189
_space_group_name_Hall 'P -6 -2'
loop_
_atom_site_label
_atom_site_type_symbol
_atom_site_fract_x
_atom_site_fract_y
_atom_site_fract_z
Ce1 Ce 0.0000 0.8144 0.0000
Ce2 Ce 0.3333 0.6667 0.5000
P1 P 0.0000 0.1858 0.5000
P2 P 0.0000 0.6263 0.5000
P3 P 0.1701 0.4766 0.0000
Ru1 Ru 0.0000 0.0000 0.5000
Ru2 Ru 0.0000 0.2837 0.0000
Ru3 Ru 0.0000 0.4453 0.5000
Ru4 Ru 0.1262 0.6344 0.0000
Ru5 Ru 0.1837 0.3764 0.5000
# E_tot ... -8.409 eV/atom
# Magnetization ... 0.10 μB per formula unit